Record 1
{
  "formula": "DyPaTc2",
  "functional": "PBE-GGA",
  "state": "optimized geometry",
  "e_form_ev_per_atom": -0.143,
  "spacegroup": "Fm-3m (225)",
  "cell": [[0.000, 3.423, 3.423], [3.423, 0.000, 3.423], [3.423, 3.423, 0.000]],
  "species": ["Tc", "Tc", "Pa", "Dy"],
  "fractional_positions": [[0.250, 0.250, 0.250], [0.750, 0.750, 0.750], [0.000, 0.000, 0.000], [0.500, 0.500, 0.500]]
}



Record 2
{
  "formula": "LiEu2Ge3",
  "functional": "PBE-GGA",
  "state": "optimized geometry",
  "m_tot_mub_per_fu": 13.91,
  "e_form_ev_per_atom": -0.619,
  "spacegroup": "Pnnm (58)",
  "cell": [[-2.554, 1.486, 3.371], [-7.975, -6.891, -3.005], [4.437, -8.173, 6.966]],
  "species": ["Ge", "Ge", "Ge", "Ge", "Ge", "Ge", "Ge", "Ge", "Ge", "Ge", "Ge", "Ge", "Li", "Li", "Li", "Li", "Eu", "Eu", "Eu", "Eu", "Eu", "Eu", "Eu", "Eu"],
  "fractional_positions": [[0.000, 0.256, 0.141], [0.000, 0.389, 0.956], [0.500, 0.244, 0.641], [0.500, 0.756, 0.359], [0.500, 0.471, 0.603], [0.000, 0.611, 0.044], [0.500, 0.529, 0.397], [0.000, 0.744, 0.859], [0.000, 0.029, 0.103], [0.500, 0.111, 0.456], [0.000, 0.971, 0.897], [0.500, 0.889, 0.544], [0.500, 0.859, 0.782], [0.000, 0.641, 0.282], [0.000, 0.359, 0.718], [0.500, 0.141, 0.218], [0.500, 0.550, 0.851], [0.000, 0.950, 0.351], [0.500, 0.450, 0.149], [0.500, 0.822, 0.071], [0.000, 0.678, 0.571], [0.000, 0.322, 0.429], [0.500, 0.178, 0.929], [0.000, 0.050, 0.649]]
}



Record 3
{
  "formula": "FeNiN",
  "functional": "PBE-GGA",
  "state": "optimized geometry",
  "m_tot_mub_per_fu": 2.42,
  "e_form_ev_per_atom": -0.105,
  "spacegroup": "P4/mmm (123)",
  "cell": [[2.801, 0.000, 0.000], [0.000, 2.801, 0.000], [0.000, 0.000, 3.734]],
  "species": ["N", "Ni", "Fe"],
  "fractional_positions": [[0.000, 0.000, 0.000], [0.000, 0.000, 0.500], [0.500, 0.500, 0.000]]
}